Below is a geometry-optimized Li14Mn2S9 structure, with properties calculated at the meta-GGA r2SCAN level.

a b c (Å): 7.029 7.029 9.844
angles (deg): 90.00 90.00 120.00
Element x y z (fractional)
Li  0.000  0.000  0.247
Li  0.000  0.000  0.753
Li  0.022  0.677  0.412
Li  0.038  0.361  0.090
Li  0.323  0.345  0.412
Li  0.323  0.962  0.090
Li  0.345  0.022  0.588
Li  0.361  0.323  0.910
Li  0.639  0.677  0.090
Li  0.655  0.978  0.412
Li  0.677  0.038  0.910
Li  0.677  0.655  0.588
Li  0.962  0.639  0.910
Li  0.978  0.323  0.588
Mn  0.333  0.667  0.756
Mn  0.667  0.333  0.244
S  0.000  0.000  0.500
S  0.026  0.337  0.838
S  0.312  0.974  0.838
S  0.333  0.667  0.513
S  0.337  0.312  0.162
S  0.663  0.688  0.838
S  0.667  0.333  0.487
S  0.688  0.026  0.162
S  0.974  0.663  0.162

The calculation puts the formation energy at -1.4564 eV per atom. The volume is 16.849 Å³ per atom. The calculation puts the total energy at -0.5042 Ry per atom. As for the symmetry: P-3, No. 147.